Mn6O5F7 (PBE+U, relaxed); raw total energy = -119.8 eV/cell; offset from the most stable computed form = 30 meV/atom; formation enthalpy at 0 K = -2.410 eV per atom
1.0
4.729 0.000 0.000
0.131 5.706 0.000
0.158 0.521 7.887
Mn O F
6 5 7
Direct
0.000 0.000 0.000 Mn
0.002 0.666 0.331 Mn
0.455 0.149 0.323 Mn
0.473 0.482 0.004 Mn
0.485 0.813 0.640 Mn
0.943 0.342 0.675 Mn
0.173 0.697 0.099 O
0.283 0.201 0.110 O
0.289 0.867 0.423 O
0.780 0.281 0.904 O
0.792 0.635 0.554 O
0.173 0.357 0.449 F
0.184 0.022 0.751 F
0.287 0.523 0.763 F
0.668 0.134 0.542 F
0.671 0.784 0.887 F
0.680 0.445 0.247 F
0.779 0.954 0.226 F